Material: PuSbPd2
Method: DFT, GGA-PBE
State: optimized geometry

The space group is Fm-3m (No. 225) and the conventional cell measures 6.830, 6.830 and 6.830 Å, with angles of 90.00, 90.00 and 90.00 degrees. The distinct sites, in fractional coordinates, are Pu at (0.000, 0.000, 0.000), Sb at (0.000, 0.000, 0.500) and Pd at (0.250, 0.250, 0.250).

Its total magnetization is 0.9 μB/cell. For the formation energy, the calculation gives -0.073 eV/atom.